Record 1
Compound: Li5FeO3F
Source: Materials Project
Functional: PBE+U
Structure: relaxed Values from VASP.

Cell and atoms, written as Quantum ESPRESSO input:
```
&SYSTEM
  ibrav = 0, nat = 40, ntyp = 4
/
ATOMIC_SPECIES
Li 6.94 Li.upf
Fe 55.84 Fe.upf
O 16.00 O.upf
F 19.00 F.upf
CELL_PARAMETERS angstrom
4.585 -4.739 0.985
5.627 5.627 0.890
-1.359 0.205 7.311
ATOMIC_POSITIONS angstrom
Li 3.046 1.431 3.989
Li 5.181 4.348 8.090
Li 1.356 -0.189 4.061
Li 4.849 2.523 0.850
Li 7.624 1.420 5.195
Li 5.489 -1.497 1.094
Li 6.065 -0.213 4.593
Li 2.572 -2.924 7.804
Li 4.404 -4.631 2.333
Li 6.538 -1.714 6.433
Li 2.115 -2.265 1.841
Li 4.249 0.652 5.941
Li -0.026 0.961 5.679
Li 3.467 3.672 2.468
Li 2.076 -1.212 6.131
Li 5.569 1.499 2.920
Li 8.342 0.388 7.256
Li 6.207 -2.529 3.156
Li 6.235 2.566 6.804
Li 4.100 -0.350 2.703
Fe 7.419 0.453 1.502
Fe 5.010 3.491 4.769
Fe 3.928 -2.255 4.714
Fe 2.876 0.576 0.667
O 2.587 -3.296 5.945
O 6.078 -0.585 2.737
O 0.213 -1.007 5.438
O 3.705 1.702 2.226
O 3.276 -0.438 4.552
O 6.768 2.271 1.342
O 1.117 1.793 4.088
O 4.610 4.505 0.877
O 7.821 -0.552 5.406
O 5.686 -3.469 1.305
O 5.665 1.678 4.946
O 3.529 -1.238 0.841
F 3.094 -3.423 2.974
F 5.228 -0.506 7.075
F 0.796 -1.063 2.479
F 2.931 1.859 6.577
```

Results
Energy relative to the elements ... -21.102 eV/f.u.
ΔE to the lowest computed polymorph ... 0.0436 eV/atom


Record 2
Compound: LiFe2O2F3
Source: Materials Project
Functional: PBE+U
Structure: relaxed Values from VASP.

Cell and atoms, written as Quantum ESPRESSO input:
```
&SYSTEM
  ibrav = 0, nat = 16, ntyp = 4
/
ATOMIC_SPECIES
Li 6.94 Li.upf
Fe 55.84 Fe.upf
O 16.00 O.upf
F 19.00 F.upf
CELL_PARAMETERS angstrom
1.924 5.023 0.000
-1.924 5.023 0.000
0.000 0.147 10.214
ATOMIC_POSITIONS angstrom
Li 0.000 8.738 0.586
Li 0.000 1.456 9.628
Fe 0.000 8.732 4.621
Fe 0.000 8.299 7.654
Fe 0.000 1.895 2.561
Fe 0.000 1.462 5.593
O 0.000 9.701 6.331
O 0.000 3.117 4.275
O 0.000 7.077 5.940
O 0.000 0.493 3.883
F 0.000 9.660 9.016
F 0.000 3.123 0.980
F 0.000 7.484 2.598
F 0.000 2.710 7.617
F 0.000 7.071 9.234
F 0.000 0.534 1.198
```

Results
Space-group type ... C2/m (12)
Energy relative to the elements ... -18.559 eV/f.u.
ΔE to the lowest computed polymorph ... 0.0062 eV/atom


Record 3
Compound: Li4Fe7O2F14
Source: Materials Project
Functional: PBE+U
Structure: relaxed Values from VASP.

Cell and atoms, written as Quantum ESPRESSO input:
```
&SYSTEM
  ibrav = 0, nat = 27, ntyp = 4
/
ATOMIC_SPECIES
Li 6.94 Li.upf
Fe 55.84 Fe.upf
O 16.00 O.upf
F 19.00 F.upf
CELL_PARAMETERS angstrom
5.177 0.000 0.000
-0.119 6.122 0.000
-0.134 -0.407 10.690
ATOMIC_POSITIONS angstrom
Li 2.826 1.382 0.896
Li -0.004 4.412 4.314
Li 4.928 1.303 6.376
Li 2.098 4.333 9.795
Fe -0.060 3.061 0.000
Fe 2.500 4.479 2.547
Fe 5.092 1.353 2.803
Fe 2.521 -0.203 5.345
Fe 2.462 2.858 5.345
Fe -0.168 4.363 7.887
Fe 2.424 1.236 8.143
O 3.287 4.406 4.397
O 1.637 1.310 6.293
F 1.459 4.418 0.802
F 0.981 1.599 0.961
F 3.740 0.088 1.921
F 3.812 2.889 1.748
F 1.030 2.937 3.528
F 1.002 5.879 3.524
F 4.015 1.362 4.660
F 0.909 4.354 6.030
F 3.922 -0.163 7.167
F 3.894 2.778 7.162
F 1.112 2.827 8.942
F 1.184 5.628 8.769
F 3.942 4.117 9.730
F 3.464 1.298 9.888
```

Results
Space-group type ... P-1 (2)
Energy relative to the elements ... -69.151 eV/f.u.
ΔE to the lowest computed polymorph ... 0.0000 eV/atom


Record 4
Compound: LiFe2O2F3
Source: Materials Project
Functional: PBE+U
Structure: relaxed Values from VASP.

Cell and atoms, written as Quantum ESPRESSO input:
```
&SYSTEM
  ibrav = 0, nat = 16, ntyp = 4
/
ATOMIC_SPECIES
Li 6.94 Li.upf
Fe 55.84 Fe.upf
O 16.00 O.upf
F 19.00 F.upf
CELL_PARAMETERS angstrom
2.663 5.166 0.000
-2.663 5.166 0.000
0.000 2.693 6.689
ATOMIC_POSITIONS angstrom
Li -2.642 5.808 1.685
Li -2.642 7.217 5.004
Fe -0.042 5.153 3.010
Fe 0.087 6.500 6.360
Fe -0.042 7.871 3.679
Fe 0.087 6.525 0.329
O -0.700 6.143 4.616
O 0.757 4.799 1.266
O -0.700 6.881 2.074
O 0.757 8.226 5.424
F 0.855 9.375 2.739
F 0.855 3.650 3.950
F -0.801 10.741 6.096
F -0.801 2.283 0.594
F 1.651 6.512 3.345
F -1.590 5.166 0.000
```

Results
Space-group type ... C2 (5)
Energy relative to the elements ... -18.231 eV/f.u.
ΔE to the lowest computed polymorph ... 0.0472 eV/atom


Record 5
Compound: Li8FeO4F2
Source: Materials Project
Functional: PBE+U
Structure: relaxed Values from VASP.

Cell and atoms, written as Quantum ESPRESSO input:
```
&SYSTEM
  ibrav = 0, nat = 30, ntyp = 4
/
ATOMIC_SPECIES
Li 6.94 Li.upf
Fe 55.84 Fe.upf
O 16.00 O.upf
F 19.00 F.upf
CELL_PARAMETERS angstrom
2.900 -4.849 0.000
2.900 4.849 0.000
0.000 0.000 10.896
ATOMIC_POSITIONS angstrom
Li 3.972 0.000 3.011
Li 3.299 0.000 6.793
Li 2.500 0.000 1.345
Li 1.828 0.000 8.459
Li 2.877 1.598 9.838
Li 2.922 1.598 4.390
Li 0.903 1.450 2.871
Li 1.126 1.825 6.949
Li 4.673 -1.825 1.501
Li 4.896 1.450 8.319
Li 4.896 -1.450 8.319
Li 4.673 1.825 1.501
Li 2.922 -1.598 4.390
Li 2.877 -1.598 9.838
Li 1.126 -1.825 6.949
Li 0.903 -1.450 2.871
Fe 5.547 0.000 5.563
Fe 0.252 0.000 0.115
O 3.780 0.000 4.920
O 2.020 0.000 10.367
O 2.913 1.649 7.819
O 0.151 0.000 7.456
O 5.648 0.000 2.008
O 2.886 1.649 2.372
O 2.886 -1.649 2.372
O 2.913 -1.649 7.819
F 1.024 1.607 4.881
F 4.775 1.607 10.329
F 4.775 -1.607 10.329
F 1.024 -1.607 4.881
```

Results
Space-group type ... Cmc2_1 (36)
Energy relative to the elements ... -33.111 eV/f.u.
ΔE to the lowest computed polymorph ... 0.0238 eV/atom


Record 6
Compound: Li2FeOF3
Source: Materials Project
Functional: PBE+U
Structure: relaxed Values from VASP.

Cell and atoms, written as Quantum ESPRESSO input:
```
&SYSTEM
  ibrav = 0, nat = 28, ntyp = 4
/
ATOMIC_SPECIES
Li 6.94 Li.upf
Fe 55.84 Fe.upf
O 16.00 O.upf
F 19.00 F.upf
CELL_PARAMETERS angstrom
-2.885 -2.932 4.233
-2.912 7.090 7.042
-2.816 1.435 -5.041
ATOMIC_POSITIONS angstrom
Li -3.526 -0.109 3.694
Li -4.948 5.620 2.578
Li -6.997 5.878 5.476
Li -2.691 3.082 2.358
Li -5.072 3.388 7.245
Li -3.582 2.026 -0.913
Li -3.543 4.942 5.000
Li -4.937 0.648 1.075
Fe -6.047 2.597 3.850
Fe -4.208 -2.160 1.809
Fe -1.741 -0.199 0.733
Fe -5.630 3.569 0.693
O -1.792 1.049 -0.604
O -6.099 3.846 2.514
O -3.311 -0.495 1.625
O -4.732 5.234 0.509
F -3.283 4.716 3.086
F -4.678 0.422 -0.839
F -5.495 3.816 9.187
F -4.004 2.454 1.029
F -5.381 0.929 3.150
F -3.987 5.223 7.075
F -3.154 1.740 -3.003
F -4.645 3.102 5.155
F -5.267 6.103 4.566
F -3.845 0.374 5.682
F -6.841 4.503 6.875
F -2.535 1.706 3.758
```

Results
Energy relative to the elements ... -18.669 eV/f.u.
ΔE to the lowest computed polymorph ... 0.0117 eV/atom


Record 7
Compound: Li3Fe3OF7
Source: Materials Project
Functional: PBE+U
Structure: relaxed Values from VASP.

Cell and atoms, written as Quantum ESPRESSO input:
```
&SYSTEM
  ibrav = 0, nat = 28, ntyp = 4
/
ATOMIC_SPECIES
Li 6.94 Li.upf
Fe 55.84 Fe.upf
O 16.00 O.upf
F 19.00 F.upf
CELL_PARAMETERS angstrom
1.525 -5.715 1.807
4.322 -0.943 4.323
-5.141 -1.866 9.253
ATOMIC_POSITIONS angstrom
Li 3.694 -6.148 3.978
Li 1.670 -4.323 6.295
Li 0.817 -4.028 2.861
Li -0.278 -2.443 8.815
Li 2.486 -4.754 9.832
Li -0.882 -5.225 10.938
Fe 3.615 -2.623 4.668
Fe 1.007 -1.458 5.426
Fe -1.259 -0.970 3.193
Fe -3.812 -1.873 7.835
Fe -3.004 -4.850 8.756
Fe -0.370 -5.969 8.022
O 4.452 -6.775 7.449
O 2.054 -7.413 12.231
F 1.038 -2.618 7.294
F 3.623 -3.733 6.604
F 1.614 -5.427 8.176
F -1.021 -2.010 5.146
F 1.584 -3.346 4.507
F 2.275 -6.096 5.368
F -0.280 -4.982 6.081
F -1.448 -3.522 11.969
F 1.101 -4.645 11.252
F -3.668 -3.072 9.705
F -0.834 -6.150 12.913
F -0.957 -4.228 9.161
F -0.301 -6.974 10.013
F -2.860 -5.815 10.726
```

Results
Space-group type ... Cc (9)
Energy relative to the elements ... -36.864 eV/f.u.
ΔE to the lowest computed polymorph ... 0.0000 eV/atom


Record 8
Compound: LiFe8O12F4
Source: Materials Project
Functional: PBE+U
Structure: relaxed Values from VASP.

Cell and atoms, written as Quantum ESPRESSO input:
```
&SYSTEM
  ibrav = 0, nat = 25, ntyp = 4
/
ATOMIC_SPECIES
Li 6.94 Li.upf
Fe 55.84 Fe.upf
O 16.00 O.upf
F 19.00 F.upf
CELL_PARAMETERS angstrom
-2.982 -4.915 1.610
2.685 0.292 5.864
-3.926 6.558 1.678
ATOMIC_POSITIONS angstrom
Li -3.047 -2.798 3.363
Fe -2.736 4.332 8.337
Fe -1.222 6.790 7.498
Fe -4.512 2.759 5.726
Fe 0.520 -1.083 3.344
Fe -3.417 0.754 1.657
Fe 0.380 3.774 6.814
Fe -2.902 -0.281 5.016
Fe -1.414 2.210 4.233
O -0.456 -2.805 7.369
O -0.795 -2.376 2.668
O 0.726 0.174 1.837
O -3.461 4.214 6.505
O -3.640 -0.486 3.163
O -2.081 2.039 2.331
O -1.997 6.631 5.705
O -3.697 4.578 1.753
O -2.745 -2.156 5.110
O -3.129 1.648 4.927
O -2.142 -0.107 6.829
O -0.672 2.313 6.045
F 0.822 -0.162 6.687
F -4.989 1.986 2.483
F -1.027 0.138 4.175
F -1.829 4.254 4.192
```

Results
Space-group type ... C2 (5)
Energy relative to the elements ... -43.174 eV/f.u.
ΔE to the lowest computed polymorph ... 0.0000 eV/atom


Q: Which value of ΔE to the lowest computed polymorph does entry 7 give?
A: 0.0000 eV/atom